1.
Material: UMo2O8
Method: DFT, GGA+U
State: relaxed

abc: 17.7398 17.7398 6.2190
angles: 90.00 90.00 120.00
Space group P3 (No. 143)
Symmetry-distinct sites (fractional):
U: 0.0000 0.0000 0.0000 x1
U: 0.9998 0.6672 0.7405 x3
U: 0.3333 0.6667 0.9949 x1
U: 0.3360 0.0007 0.2512 x3
U: 0.6667 0.3333 0.5188 x1
Mo: 0.0649 0.2282 0.7567 x3
Mo: 0.1035 0.5064 0.7519 x3
Mo: 0.1725 0.7346 0.2409 x3
Mo: 0.2325 0.1615 0.2432 x3
Mo: 0.4412 0.1719 0.7413 x3
Mo: 0.5040 0.3981 0.2445 x3
O: 0.0191 0.2556 0.9788 x3
O: 0.0233 0.2496 0.5154 x3
O: 0.0331 0.1122 0.7910 x3
O: 0.0326 0.5498 0.7495 x3
O: 0.0771 0.4350 0.9771 x3
O: 0.0858 0.4430 0.5122 x3
O: 0.0985 0.6879 0.0198 x3
O: 0.1131 0.6916 0.4859 x3
O: 0.1137 0.8201 0.7621 x3
O: 0.1178 0.0753 0.1979 x3
O: 0.1510 0.3680 0.2420 x3
O: 0.2183 0.5935 0.7877 x3
O: 0.2434 0.2241 0.4796 x3
O: 0.2605 0.7082 0.2030 x3
O: 0.2662 0.2331 0.0160 x3
O: 0.3024 0.1172 0.2618 x3
O: 0.3734 0.2184 0.7222 x3
O: 0.4166 0.1063 0.9778 x3
O: 0.4216 0.1035 0.5112 x3
O: 0.4225 0.3541 0.4506 x3
O: 0.4513 0.3541 0.9937 x3
O: 0.4875 0.0363 0.2394 x3
O: 0.5572 0.2580 0.7362 x3
O: 0.5878 0.3683 0.3168 x3

The calculation puts the MP2020-corrected energy at -9.031 eV per atom.

2.
Material: Li9Mn2Co5O16
Method: DFT, GGA+U
State: relaxed

abc: 6.567 6.653 7.690
angles: 65.14 75.26 72.18
Space group P1 (No. 1)
Symmetry-distinct sites (fractional):
Li: 0.000 0.000 0.000 x1
Li: 0.057 0.436 0.692 x1
Li: 0.186 0.305 0.067 x1
Li: 0.310 0.189 0.434 x1
Li: 0.434 0.055 0.822 x1
Li: 0.571 0.944 0.181 x1
Li: 0.693 0.808 0.567 x1
Li: 0.815 0.693 0.937 x1
Li: 0.940 0.563 0.313 x1
Mn: 0.248 0.750 0.752 x1
Mn: 0.504 0.499 0.503 x1
Co: 0.125 0.879 0.366 x1
Co: 0.368 0.623 0.126 x1
Co: 0.640 0.366 0.883 x1
Co: 0.754 0.238 0.248 x1
Co: 0.877 0.123 0.629 x1
O: 0.018 0.204 0.363 x1
O: 0.116 0.654 0.021 x1
O: 0.154 0.063 0.716 x1
O: 0.238 0.533 0.409 x1
O: 0.279 0.955 0.115 x1
O: 0.357 0.426 0.770 x1
O: 0.402 0.816 0.487 x1
O: 0.474 0.287 0.153 x1
O: 0.511 0.716 0.846 x1
O: 0.600 0.184 0.532 x1
O: 0.642 0.579 0.233 x1
O: 0.727 0.050 0.883 x1
O: 0.762 0.474 0.591 x1
O: 0.838 0.926 0.289 x1
O: 0.889 0.352 0.968 x1
O: 0.996 0.774 0.652 x1

The calculation puts the MP2020-corrected energy at -6.522 eV per atom. As for the energy relative to the lowest polymorph listed for this composition: 0.037 eV per atom.

3.
Material: SrV6O11
Method: DFT, GGA+U
State: relaxed

abc: 5.984 10.256 13.184
angles: 90.00 90.00 90.00
Space group Cmc2_1 (No. 36)
Symmetry-distinct sites (fractional):
Sr: 0.000 0.168 0.000 x4
V: 0.000 0.001 0.252 x4
V: 0.000 0.166 0.504 x4
V: 0.000 0.499 0.395 x4
V: 0.000 0.500 0.108 x4
V: 0.248 0.249 0.252 x8
O: 0.000 0.169 0.661 x4
O: 0.000 0.170 0.343 x4
O: 0.000 0.325 0.170 x4
O: 0.000 0.326 0.834 x4
O: 0.000 0.350 0.502 x4
O: 0.235 0.087 0.834 x8
O: 0.236 0.087 0.169 x8
O: 0.236 0.419 0.002 x8

The calculation puts the MP2020-corrected energy at -8.763 eV per atom. As for the energy relative to the lowest polymorph listed for this composition: 0.000 eV per atom.

4.
Material: VF5
Method: DFT, GGA+U
State: relaxed

abc: 9.409 6.223 6.332
angles: 90.00 90.00 90.00
Space group Pnma (No. 62)
Symmetry-distinct sites (fractional):
V: 0.004 0.250 0.098 x4
F: 0.014 0.558 0.167 x8
F: 0.017 0.250 0.374 x4
F: 0.183 0.750 0.918 x4
F: 0.186 0.250 0.027 x4

The calculation puts the MP2020-corrected energy at -5.832 eV per atom.

5.
Material: Fe3Pb4ClO8
Method: DFT, GGA+U
State: relaxed

abc: 3.976 3.976 15.594
angles: 90.00 90.00 90.00
Space group P4/mmm (No. 123)
Symmetry-distinct sites (fractional):
Fe: 0.000 0.000 0.000 x1
Fe: 0.000 0.000 0.253 x2
Pb: 0.500 0.500 0.113 x2
Pb: 0.500 0.500 0.381 x2
Cl: 0.000 0.000 0.500 x1
O: 0.000 0.000 0.132 x2
O: 0.000 0.500 0.000 x2
O: 0.000 0.500 0.287 x4

The calculation puts the MP2020-corrected energy at -6.605 eV per atom.

6.
Material: SrCrO3
Method: DFT, GGA+U
State: relaxed

abc: 5.5051 5.5051 13.5338
angles: 90.00 90.00 120.00
Space group P6_3/mmc (No. 194)
Symmetry-distinct sites (fractional):
Sr: 0.0000 0.0000 0.2500 x2
Sr: 0.3333 0.6667 0.0912 x4
Cr: 0.0000 0.0000 0.0000 x2
Cr: 0.3333 0.6667 0.6572 x4
O: 0.0251 0.5125 0.7500 x6
O: 0.1643 0.3287 0.5824 x12

The calculation puts the MP2020-corrected energy at -7.796 eV per atom.

7.
Material: Mg6FeSiO8
Method: DFT, GGA+U
State: relaxed

abc: 4.343 4.343 8.654
angles: 90.00 90.00 90.00
Space group P4/mmm (No. 123)
Symmetry-distinct sites (fractional):
Mg: 0.000 0.000 0.000 x1
Mg: 0.000 0.500 0.246 x4
Mg: 0.500 0.500 0.000 x1
Fe: 0.000 0.000 0.500 x1
Si: 0.500 0.500 0.500 x1
O: 0.000 0.000 0.248 x2
O: 0.000 0.500 0.000 x2
O: 0.000 0.500 0.500 x2
O: 0.500 0.500 0.237 x2

The calculation puts the MP2020-corrected energy at -6.466 eV per atom. As for the energy relative to the lowest polymorph listed for this composition: 0.000 eV per atom.

8.
Material: LiV3OF11
Method: DFT, GGA+U
State: relaxed

abc: 5.304 5.474 15.657
angles: 80.64 89.92 89.84
Space group P1 (No. 1)
Symmetry-distinct sites (fractional):
Li: 0.000 0.000 0.000 x1
Li: 0.111 0.398 0.341 x1
V: 0.251 0.330 0.842 x1
V: 0.276 0.027 0.518 x1
V: 0.283 0.698 0.176 x1
V: 0.770 0.858 0.836 x1
V: 0.774 0.195 0.179 x1
V: 0.776 0.534 0.506 x1
O: 0.062 0.076 0.863 x1
O: 0.865 0.554 0.404 x1
F: 0.071 0.379 0.207 x1
F: 0.075 0.733 0.536 x1
F: 0.189 0.749 0.057 x1
F: 0.191 0.078 0.402 x1
F: 0.207 0.427 0.730 x1
F: 0.348 0.642 0.295 x1
F: 0.355 0.328 0.951 x1
F: 0.364 0.993 0.627 x1
F: 0.470 0.330 0.490 x1
F: 0.483 0.019 0.153 x1
F: 0.487 0.664 0.823 x1
F: 0.557 0.159 0.819 x1
F: 0.565 0.839 0.489 x1
F: 0.587 0.503 0.153 x1
F: 0.694 0.161 0.290 x1
F: 0.700 0.484 0.623 x1
F: 0.715 0.839 0.952 x1
F: 0.868 0.911 0.728 x1
F: 0.874 0.236 0.066 x1
F: 0.971 0.893 0.197 x1
F: 0.983 0.562 0.863 x1
F: 0.985 0.219 0.538 x1

The calculation puts the MP2020-corrected energy at -6.389 eV per atom. As for the energy relative to the lowest polymorph listed for this composition: 0.038 eV per atom.

| no. | energy of formation (eV/atom) |
| --- | --- |
| 1 | -2.434 |
| 2 | -1.828 |
| 3 | -2.618 |
| 4 | -2.722 |
| 5 | -1.499 |
| 6 | -2.559 |
| 7 | -2.523 |
| 8 | -2.941 |